1.
Crystalline RbNiC2N2Cl at its relaxed geometry. Source: the Materials Project, functional PBE.

a b c (Å): 7.6325 7.6325 7.6325
angles (deg): 124.76 124.76 81.94
With the nearest neighbours (Å) after each atom.
Fractional coordinates of all 14 atoms:
Cl1 0.2805 0.2805 0.0000  1 Ni 2.53
N1 0.3002 0.3002 0.6005  1 C 1.17
C1 0.1830 0.1830 0.3661  1 N 1.17
Rb1 0.7500 0.2500 0.5000  4 Cl 3.56, 8 N 3.85, 8 C 3.87
Rb2 0.2500 0.7500 0.5000  4 Cl 3.56, 8 N 3.85, 8 C 3.87
N2 0.6998 0.3002 0.0000  1 C 1.17
Ni1 0.5000 0.5000 0.0000  4 N 2.00
Cl2 0.7195 0.7195 0.0000  1 Ni 2.53
C2 0.1830 0.8170 0.0000  1 N 1.17
N3 0.6998 0.6998 0.3995  1 C 1.17
C3 0.8170 0.8170 0.6339  1 N 1.17
Ni2 0.0000 0.0000 0.0000  4 C 1.83
N4 0.3002 0.6998 0.0000  1 C 1.17
C4 0.8170 0.1830 0.0000  1 N 1.17

Total energy in eV per atom: -6.545
Magnetization in μB per formula unit: 1.00
Formation energy in eV/atom: -0.384
Symmetry: I4/mmm

2.
Crystalline CaMg6Cu at its relaxed geometry. Source: the Materials Project, functional PBE.

a b c (Å): 5.0792 6.2171 11.6291
angles (deg): 90.00 90.00 90.00
With the nearest neighbours (Å) after each atom.
Fractional coordinates of all 16 atoms:
Mg1 0.0000 0.2611 0.0812  6 Mg 2.97-3.25, 2 Cu 3.05, 2 Ca 3.21
Mg2 0.0000 0.7611 0.5812  6 Mg 2.97-3.25, 2 Cu 3.05, 2 Ca 3.21
Mg3 0.5000 0.2535 0.9260  1 Cu 3.04, 8 Mg 3.07-3.25, 2 Ca 3.28-3.32
Mg4 0.0000 0.7389 0.0812  6 Mg 2.97-3.25, 2 Cu 3.05, 2 Ca 3.21
Ca1 0.5000 0.5000 0.6769  2 Cu 3.12, 10 Mg 3.17-3.32
Ca2 0.5000 0.0000 0.1769  2 Cu 3.12, 10 Mg 3.17-3.32
Mg5 0.5000 0.2465 0.4260  1 Cu 3.04, 8 Mg 3.07-3.25, 2 Ca 3.28-3.32
Mg6 0.0000 0.5000 0.3173  10 Mg 3.12-3.47, 2 Cu 3.19
Mg7 0.5000 0.7465 0.9260  1 Cu 3.04, 8 Mg 3.07-3.25, 2 Ca 3.28-3.32
Mg8 0.5000 0.7535 0.4260  1 Cu 3.04, 8 Mg 3.07-3.25, 2 Ca 3.28-3.32
Cu1 0.5000 0.5000 0.1514  8 Mg 3.04-3.19, 2 Ca 3.12
Mg9 0.0000 0.5000 0.8399  10 Mg 3.12-3.42, 2 Ca 3.17
Mg10 0.0000 0.0000 0.8173  10 Mg 3.12-3.47, 2 Cu 3.19
Mg11 0.0000 0.2389 0.5812  6 Mg 2.97-3.25, 2 Cu 3.05, 2 Ca 3.21
Mg12 0.0000 0.0000 0.3399  10 Mg 3.12-3.42, 2 Ca 3.17
Cu2 0.5000 0.0000 0.6514  8 Mg 3.04-3.19, 2 Ca 3.12

Energy relative to the lowest polymorph listed for this composition in eV per formula unit: 0.04
Total energy in eV per atom: -1.920
Magnetization in μB per formula unit: 0.01
Formation energy in eV/atom: 0.043

3.
Crystalline Sm6Mn23 at its relaxed geometry. Source: the Materials Project, functional PBE.

a b c (Å): 8.6856 8.6856 8.6856
angles (deg): 60.00 60.00 60.00
With the nearest neighbours (Å) after each atom.
Fractional coordinates of all 29 atoms:
Mn1 0.5000 0.0000 0.0000  8 Mn 2.52-2.71
Mn2 0.8813 0.8813 0.3561  7 Mn 2.53-2.71
Mn3 0.6797 0.6797 0.6797  9 Mn 2.44-2.69
Sm1 0.7103 0.2897 0.2897  12 Mn 2.94-3.14
Mn4 0.8813 0.8813 0.8813  7 Mn 2.53-2.71
Mn5 0.6797 0.6797 0.9608  9 Mn 2.44-2.69
Mn6 0.1187 0.1187 0.1187  7 Mn 2.53-2.71
Mn7 0.5000 0.0000 0.5000  8 Mn 2.52-2.71
Mn8 0.5000 0.5000 0.0000  8 Mn 2.52-2.71
Mn9 0.8813 0.3561 0.8813  7 Mn 2.53-2.71
Sm2 0.2897 0.7103 0.7103  12 Mn 2.94-3.14
Sm3 0.7103 0.7103 0.2897  12 Mn 2.94-3.14
Mn10 0.0392 0.3203 0.3203  9 Mn 2.44-2.69
Mn11 0.6439 0.1187 0.1187  7 Mn 2.53-2.71
Mn12 0.0000 0.0000 0.5000  8 Mn 2.52-2.71
Mn13 0.0000 0.5000 0.5000  8 Mn 2.52-2.71
Mn14 0.9608 0.6797 0.6797  9 Mn 2.44-2.69
Mn15 0.3561 0.8813 0.8813  7 Mn 2.53-2.71
Mn16 0.3203 0.3203 0.0392  9 Mn 2.44-2.69
Sm4 0.7103 0.2897 0.7103  12 Mn 2.94-3.14
Mn17 0.0000 0.0000 0.0000  8 Mn 2.53
Sm5 0.2897 0.2897 0.7103  12 Mn 2.94-3.14
Mn18 0.6797 0.9608 0.6797  9 Mn 2.44-2.69
Mn19 0.3203 0.0392 0.3203  9 Mn 2.44-2.69
Mn20 0.1187 0.6439 0.1187  7 Mn 2.53-2.71
Mn21 0.1187 0.1187 0.6439  7 Mn 2.53-2.71
Mn22 0.0000 0.5000 0.0000  8 Mn 2.52-2.71
Mn23 0.3203 0.3203 0.3203  9 Mn 2.44-2.69
Sm6 0.2897 0.7103 0.2897  12 Mn 2.94-3.14

Total energy in eV per atom: -8.131
Magnetization in μB per formula unit: 16.71
Formation energy in eV/atom: 0.112
Symmetry: Fm-3m

4.
Crystalline Eu2ZnPtO6 at its relaxed geometry. Source: the Materials Project, functional PBE.

a b c (Å): 5.7966 5.5343 9.5797
angles (deg): 54.86 90.00 90.00
With the nearest neighbours (Å) after each atom.
Fractional coordinates of all 20 atoms:
Eu1 0.5629 0.2687 0.7472  5 O 2.36-2.59
O1 0.8079 0.3486 0.9521  1 Pt 2.04, 1 Zn 2.13
O2 0.3079 0.6514 0.5479  1 Pt 2.04, 1 Zn 2.13
O3 0.4628 0.8563 0.7472  1 Pt 2.03, 1 Zn 2.07
O4 0.1921 0.6514 0.0479  1 Pt 2.04, 1 Zn 2.13
Eu2 0.9371 0.2687 0.2472  5 O 2.36-2.59
O5 0.7929 0.7563 0.5557  1 Pt 2.04, 1 Zn 2.15
O6 0.5372 0.1437 0.2528  1 Pt 2.03, 1 Zn 2.07
Eu3 0.4371 0.7313 0.2528  5 O 2.36-2.59
Zn1 0.0000 0.5000 0.5000  6 O 2.07-2.15
Eu4 0.0629 0.7313 0.7528  5 O 2.36-2.59
Zn2 0.5000 0.5000 0.0000  6 O 2.07-2.15
O7 0.6921 0.3486 0.4521  1 Pt 2.04, 1 Zn 2.13
Pt1 0.0000 0.0000 0.0000  6 O 2.03-2.04
O8 0.0372 0.8563 0.2472  1 Pt 2.03, 1 Zn 2.07
O9 0.2929 0.2437 0.9443  1 Pt 2.04, 1 Zn 2.15
O10 0.2071 0.2437 0.4443  1 Pt 2.04, 1 Zn 2.15
Pt2 0.5000 0.0000 0.5000  6 O 2.03-2.04
O11 0.9628 0.1437 0.7528  1 Pt 2.03, 1 Zn 2.07
O12 0.7071 0.7563 0.0557  1 Pt 2.04, 1 Zn 2.15

Total energy in eV per atom: -7.593
Magnetization in μB per formula unit: 11.99
Formation energy in eV/atom: -2.252
Symmetry: P2_1/c

5.
Crystalline CeReO4 at its relaxed geometry. Source: the Materials Project, functional PBE.

a b c (Å): 5.4018 7.5929 7.6818
angles (deg): 80.13 90.00 90.00
With the nearest neighbours (Å) after each atom.
Fractional coordinates of all 24 atoms:
Ce1 0.2202 0.8972 0.3421  6 O 2.25-2.51
O1 0.9155 0.7072 0.9500  2 Re 1.94-1.95
O2 0.6543 0.4421 0.1720  2 Re 1.97-1.98
O3 0.8457 0.9421 0.1720  2 Re 1.97-1.98
O4 0.9867 0.1704 0.3929  1 Re 2.06, 1 Ce 2.30
Ce2 0.7798 0.1028 0.6579  6 O 2.25-2.51
O5 0.1543 0.0579 0.8280  2 Re 1.97-1.98
O6 0.0133 0.8296 0.6071  1 Re 2.06, 1 Ce 2.30
Re1 0.7796 0.1986 0.1646  6 O 1.94-2.06
Re2 0.2796 0.3014 0.8354  6 O 1.94-2.06
O7 0.9923 0.3768 0.6756  1 Re 2.00
O8 0.5077 0.8768 0.6756  1 Re 2.00
Re3 0.7204 0.6986 0.1646  6 O 1.94-2.06
O9 0.4867 0.3296 0.6071  1 Re 2.06, 1 Ce 2.30
Ce3 0.7202 0.6028 0.6579  6 O 2.25-2.51
O10 0.4155 0.7928 0.0500  2 Re 1.94-1.95
O11 0.3457 0.5579 0.8280  2 Re 1.97-1.98
Re4 0.2204 0.8014 0.8354  6 O 1.94-2.06
Ce4 0.2798 0.3972 0.3421  6 O 2.25-2.51
O12 0.4923 0.1232 0.3244  1 Re 2.00
O13 0.5845 0.2072 0.9500  2 Re 1.94-1.95
O14 0.0077 0.6232 0.3244  1 Re 2.00
O15 0.5133 0.6704 0.3929  1 Re 2.06, 1 Ce 2.30
O16 0.0845 0.2928 0.0500  2 Re 1.94-1.95

Total energy in eV per atom: -8.709
Magnetization in μB per formula unit: 0.01
Formation energy in eV/atom: -2.805
Symmetry: P2_1/c

6.
Crystalline AlAsPt5 at its relaxed geometry. Source: the Materials Project, functional PBE.

a b c (Å): 3.9906 3.9906 7.0416
angles (deg): 90.00 90.00 90.00
With the nearest neighbours (Å) after each atom.
Fractional coordinates of all 7 atoms:
Pt1 0.0000 0.5000 0.7268  2 As 2.56, 2 Al 2.77, 6 Pt 2.77-2.82
As1 0.0000 0.0000 0.5000  8 Pt 2.56
Pt2 0.5000 0.0000 0.7268  2 As 2.56, 2 Al 2.77, 6 Pt 2.77-2.82
Al1 0.5000 0.5000 0.0000  12 Pt 2.77-2.82
Pt3 0.0000 0.0000 0.0000  8 Pt 2.77, 4 Al 2.82
Pt4 0.5000 0.0000 0.2732  2 As 2.56, 2 Al 2.77, 6 Pt 2.77-2.82
Pt5 0.0000 0.5000 0.2732  2 As 2.56, 2 Al 2.77, 6 Pt 2.77-2.82

Total energy in eV per atom: -6.043
Formation energy in eV/atom: -0.506
Symmetry: P4/mmm

7.
Crystalline LaMgI5 at its relaxed geometry. Source: the Materials Project, functional PBE.

a b c (Å): 12.2943 10.9624 12.6127
angles (deg): 77.86 90.00 90.00
With the nearest neighbours (Å) after each atom.
Fractional coordinates of all 28 atoms:
I1 0.3086 0.2183 0.7948  1 Mg 2.76
I2 0.5064 0.1305 0.1017  2 Mg 2.75-2.77
I3 0.9869 0.5549 0.2683  2 La 3.14-3.16
I4 0.1914 0.2183 0.2948  1 Mg 2.76
I5 0.7969 0.1985 0.2920  1 Mg 2.76
La1 0.7614 0.4890 0.7472  6 I 3.14-3.20
La2 0.7386 0.4890 0.2472  6 I 3.14-3.20
I6 0.2169 0.5188 0.0000  2 La 3.18-3.19
Mg1 0.4958 0.8754 0.1148  4 I 2.75-2.77
Mg2 0.5042 0.1246 0.8852  4 I 2.75-2.77
I7 0.2969 0.8015 0.2080  1 Mg 2.76
I8 0.0131 0.4451 0.7317  2 La 3.14-3.16
I9 0.0064 0.8695 0.3983  2 Mg 2.75-2.77
I10 0.8086 0.7817 0.7052  1 Mg 2.76
I11 0.7031 0.1985 0.7920  1 Mg 2.76
Mg3 0.0042 0.8754 0.6148  4 I 2.75-2.77
La3 0.2614 0.5110 0.7528  6 I 3.14-3.20
I12 0.7169 0.4812 0.5000  2 La 3.18-3.19
I13 0.5131 0.5549 0.7683  2 La 3.14-3.16
I14 0.6914 0.7817 0.2052  1 Mg 2.76
La4 0.2386 0.5110 0.2528  6 I 3.14-3.20
I15 0.2031 0.8015 0.7080  1 Mg 2.76
I16 0.4936 0.8695 0.8983  2 Mg 2.75-2.77
Mg4 0.9958 0.1246 0.3852  4 I 2.75-2.77
I17 0.7831 0.4812 0.0000  2 La 3.18-3.19
I18 0.4869 0.4451 0.2317  2 La 3.14-3.16
I19 0.9936 0.1305 0.6017  2 Mg 2.75-2.77
I20 0.2831 0.5188 0.5000  2 La 3.18-3.19

Energy relative to the lowest polymorph listed for this composition in eV per formula unit: 0.39
Total energy in eV per atom: -3.290
Magnetization in μB per formula unit: 0.00
Formation energy in eV/atom: -1.538
Symmetry: P2_1/c

8.
Crystalline TbNiC2 at its relaxed geometry. Source: the Materials Project, functional PBE.

a b c (Å): 3.6256 3.7636 3.7636
angles (deg): 106.17 90.00 90.00
With the nearest neighbours (Å) after each atom.
Fractional coordinates of all 4 atoms:
Tb1 0.0000 0.9999 0.0001  8 C 2.65-2.69, 2 Ni 2.96
C1 0.5000 0.8517 0.4519  1 C 1.37
C2 0.5000 0.5481 0.1483  1 C 1.37
Ni1 0.5000 0.3884 0.6116  4 C 1.94-2.00

Total energy in eV per atom: -7.548
Formation energy in eV/atom: -0.330
Symmetry: Amm2